[1]
VASP calculation (meta-GGA r2SCAN) on crystalline Ho5BiAu2 at its relaxed geometry.

* E: -1322.13 eV per cell
* total magnetization: 0.00 μB/cell
* ρ: 11.2 Mg/m³
* formation energy: -807 meV per atom

```
data_Ho5BiAu2
_cell_length_a 8.0654
_cell_length_b 8.0654
_cell_length_c 12.9983
_cell_angle_alpha 90.00
_cell_angle_beta 90.00
_cell_angle_gamma 90.00
_space_group_name_H-M_alt 'I 4/m c m'
_space_group_IT_number 140
_space_group_name_Hall '-I 4 2c'
loop_
_atom_site_label
_atom_site_fract_x
_atom_site_fract_y
_atom_site_fract_z
Ho1 0.0000 0.0000 0.0000
Ho2 0.1542 0.3458 0.1394
Bi1 0.0000 0.0000 0.2500
Au1 0.1383 0.3617 0.5000
```



[2]
VASP calculation (meta-GGA r2SCAN) on crystalline YSn3 at its relaxed geometry.

* E: -96.18 eV per cell
* total magnetization: 0.00 μB/cell
* ρ: 7.1 Mg/m³
* formation energy: -407 meV per atom

```
data_YSn3
_cell_length_a 4.7003
_cell_length_b 4.7003
_cell_length_c 4.7003
_cell_angle_alpha 90.00
_cell_angle_beta 90.00
_cell_angle_gamma 90.00
_space_group_name_H-M_alt 'P m -3 m'
_space_group_IT_number 221
_space_group_name_Hall '-P 4 2 3'
loop_
_atom_site_label
_atom_site_fract_x
_atom_site_fract_y
_atom_site_fract_z
Y1 0.0000 0.0000 0.0000
Sn1 0.0000 0.5000 0.5000
```



> E of number 2 (YSn3)?

-96.18 eV per cell



> Number 1 is which compound?

Ho5BiAu2